The following is a DFT calculation (PBE+U) of crystalline Li5Mn3O8 at its relaxed geometry.

Magnetic moment (μB per formula unit): 13.19
Energy with MP2020 corrections (eV/atom): -6.7371
Formation energy (eV per atom): -1.95

a b c (Å): 3.0778 3.0778 19.8318
angles (deg): 96.03 96.03 55.82
Last column: nearest neighbours and their distance in Å.
Fractional coordinates of all 16 atoms:
Li1 0.0000 0.0000 0.0000  4 O 2.06
Li2 0.2498 0.2498 0.3745  6 O 2.15-2.24
Li3 0.2687 0.2687 0.8877  3 O 1.97-2.01
Li4 0.7313 0.7313 0.1123  3 O 1.97-2.01
Li5 0.7502 0.7502 0.6255  6 O 2.15-2.24
Mn1 0.0000 0.0000 0.5000  4 O 1.97
Mn2 0.4949 0.4949 0.2492  5 O 1.95-2.17
Mn3 0.5051 0.5051 0.7508  5 O 1.95-2.17
O1 0.1131 0.1131 0.6922  2 Mn 1.98, 2 Li 2.15
O2 0.1207 0.1207 0.1966  3 Mn 1.95-2.17
O3 0.3849 0.3849 0.0638  5 Li 1.97-2.06
O4 0.3941 0.3941 0.5580  2 Mn 1.97, 2 Li 2.17
O5 0.6059 0.6059 0.4420  2 Mn 1.97, 2 Li 2.17
O6 0.6152 0.6152 0.9362  5 Li 1.97-2.06
O7 0.8793 0.8793 0.8034  3 Mn 1.95-2.17
O8 0.8869 0.8869 0.3078  2 Mn 1.98, 2 Li 2.15

---

The following is a DFT calculation (PBE+U) of crystalline Pr2Mn3Sb3O14 at its relaxed geometry.

Magnetic moment (μB per formula unit): 14.00
Energy with MP2020 corrections (eV/atom): -7.8341
Formation energy (eV per atom): -2.44

a b c (Å): 7.2942 7.2942 7.3933
angles (deg): 119.08 119.08 61.44
Last column: nearest neighbours and their distance in Å.
Fractional coordinates of all 22 atoms:
Pr1 0.0000 0.5000 0.0000  8 O 2.38-2.59
Pr2 0.5000 0.0000 0.0000  8 O 2.38-2.59
Mn1 0.0000 0.0000 0.0000  2 O 2.11
Mn2 0.0000 0.0000 0.5000  2 O 2.19
Mn3 0.5000 0.5000 0.5000  6 O 1.99-2.16
Sb1 0.0000 0.5000 0.5000  6 O 1.99-2.02
Sb2 0.5000 0.0000 0.5000  6 O 1.99-2.02
Sb3 0.5000 0.5000 0.0000  6 O 1.96-2.03
O1 0.1063 0.1063 0.8587  2 Mn 2.11-2.19
O2 0.1734 0.5786 0.8231  2 Sb 2.01-2.03
O3 0.1747 0.1747 0.4300  2 Sb 2.02
O4 0.1754 0.5722 0.4193  1 Sb 1.99, 1 Mn 1.99
O5 0.4126 0.4126 0.1509  1 Sb 1.96, 1 Mn 2.16
O6 0.4214 0.8266 0.1769  2 Sb 2.01-2.03
O7 0.4278 0.8246 0.5807  1 Sb 1.99, 1 Mn 1.99
O8 0.5722 0.1754 0.4193  1 Sb 1.99, 1 Mn 1.99
O9 0.5786 0.1734 0.8231  2 Sb 2.01-2.03
O10 0.5874 0.5874 0.8491  1 Sb 1.96, 1 Mn 2.16
O11 0.8246 0.4278 0.5807  1 Sb 1.99, 1 Mn 1.99
O12 0.8253 0.8253 0.5700  2 Sb 2.02
O13 0.8266 0.4214 0.1769  2 Sb 2.01-2.03
O14 0.8937 0.8937 0.1413  2 Mn 2.11-2.19

---

The following is a DFT calculation (PBE+U) of crystalline Li4V2Co3Ni3O16 at its relaxed geometry.

Magnetic moment (μB per formula unit): 9.00
Energy with MP2020 corrections (eV/atom): -6.8277
Formation energy (eV per atom): -1.70

a b c (Å): 5.8425 5.8425 9.3588
angles (deg): 91.10 91.10 59.33
Last column: nearest neighbours and their distance in Å.
Fractional coordinates of all 28 atoms:
Li1 0.0000 0.0000 0.0000  4 O 1.81-1.99
Li2 0.0021 0.0021 0.5059  4 O 1.81-1.99
Li3 0.3231 0.3231 0.4080  4 O 1.94-2.06
Li4 0.6585 0.6585 0.9102  4 O 1.92-1.97
V1 0.3469 0.3469 0.9966  3 O 1.78-1.82
V2 0.6618 0.6618 0.5089  3 O 1.77-1.81
Co1 0.1703 0.1703 0.7323  4 O 1.83-1.85
Co2 0.3399 0.8288 0.2253  5 O 1.84-1.96
Co3 0.8288 0.3399 0.2253  5 O 1.84-1.96
Ni1 0.1650 0.6530 0.7213  6 O 1.94-2.15
Ni2 0.6530 0.1650 0.7213  6 O 1.94-2.15
Ni3 0.8257 0.8257 0.2228  6 O 2.00-2.09
O1 0.0060 0.0060 0.3122  1 Li 1.81, 2 Co 1.87, 1 Ni 2.00
O2 0.0055 0.0055 0.8073  1 Li 1.81, 1 Co 1.83, 2 Ni 1.94
O3 0.0357 0.4551 0.8584  1 Co 1.85, 1 Li 1.96, 1 V 2.04
O4 0.1601 0.1601 0.1159  1 Li 1.93, 2 Co 1.96
O5 0.1713 0.6538 0.1012  1 V 1.82, 1 Li 1.99
O6 0.3153 0.3153 0.6180  1 Co 1.84, 2 Ni 1.95, 1 Li 1.97
O7 0.3476 0.8253 0.6011  1 V 1.81, 1 Li 1.94
O8 0.4551 0.0357 0.8584  1 Co 1.85, 1 Li 1.96, 1 V 2.04
O9 0.4730 0.4730 0.8676  1 V 1.78, 1 Li 1.92
O10 0.4986 0.9500 0.3527  1 Co 1.84, 1 Li 1.94
O11 0.5158 0.5158 0.3424  2 Co 1.93, 1 Li 2.06, 1 V 2.13
O12 0.6501 0.6501 0.1205  2 Co 1.85, 1 Li 1.97, 1 Ni 2.01
O13 0.6538 0.1713 0.1012  1 V 1.82, 1 Li 1.99
O14 0.8226 0.8226 0.5861  1 V 1.77
O15 0.8253 0.3476 0.6011  1 V 1.81, 1 Li 1.94
O16 0.9500 0.4986 0.3527  1 Co 1.84, 1 Li 1.94

---

The following is a DFT calculation (PBE+U) of crystalline BaZnNi4O8 at its relaxed geometry.

Magnetic moment (μB per formula unit): 0.00
Energy with MP2020 corrections (eV/atom): -5.9376
Formation energy (eV per atom): -1.23

a b c (Å): 5.2894 5.2894 7.3273
angles (deg): 90.00 90.00 120.00
Last column: nearest neighbours and their distance in Å.
Fractional coordinates of all 14 atoms:
Ba1 0.0000 0.0000 0.0000  12 O 2.91-3.05
Zn1 0.0000 0.0000 0.5000  6 O 2.13
Ni1 0.3333 0.6667 0.2531  4 O 1.85-1.87
Ni2 0.3333 0.6667 0.7469  4 O 1.85-1.87
Ni3 0.6667 0.3333 0.2531  4 O 1.85-1.87
Ni4 0.6667 0.3333 0.7469  4 O 1.85-1.87
O1 0.0000 0.3191 0.3236  2 Ni 1.87
O2 0.0000 0.6809 0.6764  2 Ni 1.87
O3 0.3191 0.0000 0.3236  2 Ni 1.87
O4 0.3191 0.3191 0.6764  2 Ni 1.87
O5 0.3333 0.6667 0.0000  2 Ni 1.85
O6 0.6667 0.3333 0.0000  2 Ni 1.85
O7 0.6809 0.0000 0.6764  2 Ni 1.87
O8 0.6809 0.6809 0.3236  2 Ni 1.87